one) V3Cr3Te2O16 after structural relaxation. Source: the Materials Project, functional PBE with a Hubbard U.

Total magnetization, μB per cell: 13.01

Unit cell a=5.984 b=6.013 c=9.247 alpha=90.25 beta=90.89 gamma=119.71
Fractional positions:
V: 0.000 0.000 0.000
V: 0.010 0.493 0.998
V: 0.837 0.659 0.507
Cr: 0.349 0.171 0.491
Cr: 0.349 0.661 0.491
Cr: 0.517 0.003 0.988
Te: 0.502 0.493 0.773
Te: 0.837 0.160 0.275
O: 0.130 0.298 0.133
O: 0.167 0.825 0.582
O: 0.175 0.844 0.079
O: 0.223 0.354 0.622
O: 0.344 0.175 0.876
O: 0.348 0.658 0.878
O: 0.517 0.998 0.379
O: 0.532 0.506 0.392
O: 0.656 0.784 0.630
O: 0.659 0.354 0.631
O: 0.695 0.302 0.128
O: 0.700 0.873 0.125
O: 0.824 0.654 0.881
O: 0.855 0.158 0.891
O: 0.998 0.999 0.382
O: 0.999 0.480 0.382

two) V3Cr3Te2O16 after structural relaxation. Source: the Materials Project, functional PBE with a Hubbard U.

Total magnetization, μB per cell: 13.00

Unit cell a=5.907 b=5.907 c=9.431 alpha=90.90 beta=90.90 gamma=60.15
Fractional positions:
V: 0.000 0.000 0.000
V: 0.353 0.823 0.497
V: 0.823 0.353 0.497
Cr: 0.004 0.516 0.987
Cr: 0.343 0.343 0.483
Cr: 0.516 0.004 0.987
Te: 0.505 0.505 0.771
Te: 0.837 0.837 0.267
O: 0.000 0.512 0.375
O: 0.001 0.001 0.379
O: 0.134 0.697 0.120
O: 0.170 0.170 0.073
O: 0.172 0.172 0.567
O: 0.216 0.654 0.614
O: 0.340 0.340 0.874
O: 0.342 0.833 0.877
O: 0.511 0.511 0.378
O: 0.512 0.000 0.375
O: 0.654 0.216 0.614
O: 0.654 0.654 0.624
O: 0.695 0.695 0.111
O: 0.697 0.134 0.120
O: 0.833 0.342 0.877
O: 0.849 0.849 0.883

Going by the energies, one) is most stable and the next is 25 meV per atom up.